NaLiAs2S4: relaxed, PBE-GGA.

The structure in POSCAR format:
```
NaLiAs2S4
1.0
5.538 0.000 0.000
0.015 5.675 0.000
2.431 2.617 5.704
Na Li As S
1 1 2 4
direct
0.000 0.000 0.000
0.500 0.478 0.003
0.323 0.737 0.434
0.826 0.313 0.430
0.224 0.308 0.487
0.479 0.949 0.050
0.702 0.665 0.526
0.971 0.479 0.046
```

The total energy comes out at -33.848 eV per cell. The space group is P1. The MP2020-corrected energy comes out at -4.4824 eV per atom. The calculation puts the formation energy at -845.5 meV/atom. The value obtained for the total magnetization is 0.0 μB/f.u.